#one
DFT (PBE+U) results for a relaxed structure of Li8CrO6.

For the volume, the calculation gives 126.11 Å³/f.u. As for the spin magnetization: 0.133 μB per atom. The value obtained for the mass density is 2680 kg/m³.

a b c (Å): 5.4063 5.8801 9.3631
angles (deg): 105.40 90.03 62.62
With the nearest neighbours (Å) after each atom.
Sites, in units of the cell vectors:
1 Li 0.4880 0.0238 0.1705  6 O 2.12-2.32
2 Li 0.9878 0.0242 0.6707  6 O 2.12-2.32
3 Li 0.0121 0.9758 0.3293  6 O 2.12-2.32
4 Li 0.5121 0.9762 0.8295  6 O 2.12-2.32
5 Li 0.9920 0.3521 0.2446  4 O 1.90-2.07
6 Li 0.4925 0.3519 0.7449  4 O 1.90-2.08
7 Li 0.9814 0.6471 0.1183  4 O 1.90-2.07
8 Li 0.4807 0.6480 0.6186  4 O 1.90-2.07
9 Li 0.0394 0.6483 0.4502  4 O 1.90-2.08
10 Li 0.5391 0.6478 0.9503  4 O 1.90-2.07
11 Li 0.4610 0.3521 0.0496  4 O 1.90-2.07
12 Li 0.9606 0.3517 0.5498  4 O 1.90-2.08
13 Li 0.5193 0.3519 0.3814  4 O 1.90-2.07
14 Li 0.0186 0.3529 0.8817  4 O 1.90-2.07
15 Li 0.5075 0.6481 0.2551  4 O 1.90-2.08
16 Li 0.0080 0.6479 0.7554  4 O 1.90-2.07
17 Cr 0.4999 0.9999 0.5001  6 O 1.99-2.00
18 Cr 0.0001 0.0000 0.0000  6 O 2.00
19 O 0.7758 0.7672 0.3130  5 Li 1.90-2.12, 1 Cr 2.00
20 O 0.2746 0.7687 0.8135  5 Li 1.90-2.12, 1 Cr 2.00
21 O 0.1849 0.2321 0.0442  5 Li 1.90-2.12, 1 Cr 2.00
22 O 0.6851 0.2327 0.5443  5 Li 1.90-2.12, 1 Cr 2.00
23 O 0.2422 0.2320 0.3856  5 Li 1.90-2.13, 1 Cr 1.99
24 O 0.7417 0.2326 0.8848  5 Li 1.90-2.12, 1 Cr 2.00
25 O 0.2583 0.7674 0.1152  5 Li 1.90-2.12, 1 Cr 2.00
26 O 0.7578 0.7680 0.6144  5 Li 1.90-2.13, 1 Cr 1.99
27 O 0.3149 0.7672 0.4557  5 Li 1.90-2.12, 1 Cr 2.00
28 O 0.8152 0.7679 0.9558  5 Li 1.90-2.12, 1 Cr 2.00
29 O 0.7254 0.2313 0.1865  5 Li 1.90-2.12, 1 Cr 2.00
30 O 0.2242 0.2328 0.6870  5 Li 1.90-2.12, 1 Cr 2.00

---

#two
DFT (PBE+U) results for a relaxed structure of Li8CrO6.

For the volume, the calculation gives 146.13 Å³/f.u. The value obtained for the mass density is 2313 kg/m³.

a b c (Å): 5.5725 5.5725 10.8677
angles (deg): 90.00 90.00 120.00
With the nearest neighbours (Å) after each atom.
Sites, in units of the cell vectors:
1 Li 0.0000 0.3146 0.0000  4 O 1.99-2.07
2 Li 0.0000 0.3903 0.3616  3 O 1.97-1.99
3 Li 0.0000 0.6097 0.8616  3 O 1.97-1.99
4 Li 0.0000 0.6854 0.5000  4 O 1.99-2.07
5 Li 0.3146 0.0000 0.0000  4 O 1.99-2.07
6 Li 0.3146 0.3146 0.5000  4 O 1.99-2.07
7 Li 0.3333 0.6667 0.1403  4 O 1.98-2.07
8 Li 0.3333 0.6667 0.6403  4 O 1.98-2.07
9 Li 0.3903 0.0000 0.3616  3 O 1.97-1.99
10 Li 0.3903 0.3903 0.8616  3 O 1.97-1.99
11 Li 0.6097 0.0000 0.8616  3 O 1.97-1.99
12 Li 0.6097 0.6097 0.3616  3 O 1.97-1.99
13 Li 0.6667 0.3333 0.1403  4 O 1.98-2.07
14 Li 0.6667 0.3333 0.6403  4 O 1.98-2.07
15 Li 0.6854 0.0000 0.5000  4 O 1.99-2.07
16 Li 0.6854 0.6854 0.0000  4 O 1.99-2.07
17 Cr 0.0000 0.0000 0.2275  4 O 1.79-1.85
18 Cr 0.0000 0.0000 0.7275  4 O 1.79-1.85
19 O 0.0000 0.0000 0.3982  1 Cr 1.85, 3 Li 2.07
20 O 0.0000 0.0000 0.8982  1 Cr 1.85, 3 Li 2.07
21 O 0.0000 0.3096 0.1828  1 Cr 1.79, 4 Li 1.98-1.99
22 O 0.0000 0.6904 0.6828  1 Cr 1.79, 4 Li 1.98-1.99
23 O 0.3096 0.0000 0.1828  1 Cr 1.79, 4 Li 1.98-1.99
24 O 0.3096 0.3096 0.6828  1 Cr 1.79, 4 Li 1.98-1.99
25 O 0.3333 0.6667 0.4501  7 Li 1.97-2.07
26 O 0.3333 0.6667 0.9501  7 Li 1.97-2.07
27 O 0.6667 0.3333 0.4501  7 Li 1.97-2.07
28 O 0.6667 0.3333 0.9501  7 Li 1.97-2.07
29 O 0.6904 0.0000 0.6828  1 Cr 1.79, 4 Li 1.98-1.99
30 O 0.6904 0.6904 0.1828  1 Cr 1.79, 4 Li 1.98-1.99

---

From most stable to least stable, the computed energies give #two, #one.

---

#one
DFT (PBE+U) results for a relaxed structure of Li4CrO5.

For the volume, the calculation gives 100.10 Å³/f.u. As for the spin magnetization: 0.000 μB per atom. The value obtained for the mass density is 2650 kg/m³.

a b c (Å): 5.2597 5.2597 7.9161
angles (deg): 96.48 96.48 67.32
With the nearest neighbours (Å) after each atom.
Sites, in units of the cell vectors:
1 Li 0.0664 0.7200 0.5555  5 O 1.96-2.12
2 Li 0.1371 0.4650 0.8520  5 O 1.96-2.09
3 Li 0.2800 0.9336 0.9445  5 O 1.96-2.12
4 Li 0.4650 0.1371 0.3520  5 O 1.96-2.09
5 Li 0.5350 0.8629 0.6480  5 O 1.96-2.09
6 Li 0.7200 0.0664 0.0555  5 O 1.96-2.12
7 Li 0.8629 0.5350 0.1480  5 O 1.96-2.09
8 Li 0.9336 0.2800 0.4445  5 O 1.96-2.12
9 Cr 0.3287 0.6713 0.2500  5 O 1.74-1.83
10 Cr 0.6713 0.3287 0.7500  5 O 1.74-1.83
11 O 0.0904 0.7323 0.0725  1 Cr 1.74
12 O 0.1467 0.4892 0.3406  1 Cr 1.83, 3 Li 1.96-1.98
13 O 0.2677 0.9096 0.4275  1 Cr 1.74
14 O 0.3713 0.6287 0.7500  1 Cr 1.75
15 O 0.4892 0.1467 0.8406  1 Cr 1.83, 3 Li 1.96-1.98
16 O 0.5108 0.8533 0.1594  1 Cr 1.83, 3 Li 1.96-1.98
17 O 0.6287 0.3713 0.2500  1 Cr 1.75
18 O 0.7323 0.0904 0.5725  1 Cr 1.74
19 O 0.8533 0.5108 0.6594  1 Cr 1.83, 3 Li 1.96-1.98
20 O 0.9096 0.2677 0.9275  1 Cr 1.74

---

#two
DFT (PBE+U) results for a relaxed structure of Li4CrO5.

For the volume, the calculation gives 86.42 Å³/f.u. As for the spin magnetization: 0.000 μB per atom. The value obtained for the mass density is 3070 kg/m³.

a b c (Å): 4.9946 5.1159 7.5657
angles (deg): 106.33 102.92 102.24
With the nearest neighbours (Å) after each atom.
Sites, in units of the cell vectors:
1 Li 0.0000 0.0000 0.0000  6 O 2.00-2.20
2 Li 0.0871 0.1888 0.7064  5 O 2.06-2.21
3 Li 0.1825 0.3826 0.3898  5 O 1.96-2.12
4 Li 0.2919 0.6084 0.0965  6 O 1.97-2.21
5 Li 0.5000 0.0000 0.5000  4 O 2.00-2.01
6 Li 0.7081 0.3916 0.9035  6 O 1.97-2.21
7 Li 0.8175 0.6174 0.6102  5 O 1.96-2.12
8 Li 0.9129 0.8112 0.2936  5 O 2.06-2.21
9 Cr 0.4078 0.7499 0.7817  5 O 1.70-1.83
10 Cr 0.5922 0.2501 0.2183  5 O 1.70-1.83
11 O 0.0869 0.6112 0.8419  1 Cr 1.82, 2 Li 1.97
12 O 0.1817 0.8189 0.5868  1 Cr 1.81, 2 Li 1.96-2.00
13 O 0.2847 0.0140 0.2455  1 Cr 1.83, 2 Li 2.01-2.04
14 O 0.3754 0.1973 0.9777  1 Cr 1.81, 2 Li 2.00-2.02
15 O 0.4458 0.4312 0.6599  1 Cr 1.70
16 O 0.5542 0.5688 0.3401  1 Cr 1.70
17 O 0.6246 0.8027 0.0223  1 Cr 1.81, 2 Li 2.00-2.02
18 O 0.7153 0.9860 0.7545  1 Cr 1.83, 2 Li 2.01-2.04
19 O 0.8183 0.1811 0.4132  1 Cr 1.81, 2 Li 1.96-2.00
20 O 0.9131 0.3888 0.1581  1 Cr 1.82, 2 Li 1.97

---

#three
DFT (PBE+U) results for a relaxed structure of Li4CrO5.

For the volume, the calculation gives 88.91 Å³/f.u. As for the spin magnetization: 0.000 μB per atom. The value obtained for the mass density is 2984 kg/m³.

a b c (Å): 5.0099 8.8694 8.9156
angles (deg): 113.36 96.75 96.45
With the nearest neighbours (Å) after each atom.
Sites, in units of the cell vectors:
1 Li 0.0000 0.0000 0.0000  4 O 2.04-2.09
2 Li 0.0035 0.3960 0.5949  5 O 1.99-2.16
3 Li 0.0232 0.8003 0.1976  4 O 1.94-2.15
4 Li 0.2146 0.5498 0.9350  6 O 2.03-2.25
5 Li 0.2543 0.9521 0.5382  4 O 2.00-2.18
6 Li 0.2577 0.3571 0.1604  6 O 2.01-2.20
7 Li 0.2844 0.1568 0.3566  4 O 1.94-2.12
8 Li 0.4841 0.8955 0.0854  6 O 1.97-2.21
9 Li 0.5000 0.5000 0.5000  6 O 2.11-2.23
10 Li 0.5159 0.1045 0.9146  6 O 1.97-2.21
11 Li 0.7156 0.8432 0.6434  4 O 1.94-2.12
12 Li 0.7423 0.6429 0.8396  6 O 2.01-2.20
13 Li 0.7457 0.0479 0.4618  4 O 2.00-2.18
14 Li 0.7854 0.4502 0.0650  6 O 2.03-2.25
15 Li 0.9768 0.1997 0.8024  4 O 1.94-2.15
16 Li 0.9965 0.6040 0.4051  5 O 1.99-2.16
17 Cr 0.2125 0.7864 0.7535  5 O 1.70-1.84
18 Cr 0.4772 0.2990 0.7394  5 O 1.69-1.83
19 Cr 0.5228 0.7010 0.2606  5 O 1.69-1.83
20 Cr 0.7875 0.2136 0.2465  5 O 1.70-1.84
21 O 0.0863 0.3644 0.3572  1 Cr 1.78
22 O 0.1052 0.9687 0.7770  1 Cr 1.70
23 O 0.1297 0.7711 0.9434  1 Cr 1.84, 3 Li 1.97-2.04
24 O 0.1704 0.5950 0.1823  1 Cr 1.82, 1 Li 2.00
25 O 0.1782 0.1812 0.5853  1 Cr 1.80, 1 Li 2.00
26 O 0.3404 0.7276 0.5638  1 Cr 1.78, 2 Li 1.94-1.99
27 O 0.3679 0.3198 0.9179  1 Cr 1.69
28 O 0.3912 0.8968 0.3189  1 Cr 1.83, 3 Li 1.94-2.04
29 O 0.3981 0.4790 0.7145  1 Cr 1.78
30 O 0.4362 0.1431 0.1405  1 Cr 1.81, 1 Li 2.00
31 O 0.5638 0.8569 0.8595  1 Cr 1.81, 1 Li 2.00
32 O 0.6019 0.5210 0.2855  1 Cr 1.78
33 O 0.6088 0.1032 0.6811  1 Cr 1.83, 3 Li 1.94-2.04
34 O 0.6321 0.6802 0.0821  1 Cr 1.69
35 O 0.6596 0.2724 0.4362  1 Cr 1.78, 2 Li 1.94-1.99
36 O 0.8218 0.8188 0.4147  1 Cr 1.80, 1 Li 2.00
37 O 0.8296 0.4050 0.8177  1 Cr 1.82, 1 Li 2.00
38 O 0.8703 0.2289 0.0566  1 Cr 1.84, 3 Li 1.97-2.04
39 O 0.8948 0.0313 0.2230  1 Cr 1.70
40 O 0.9137 0.6356 0.6428  1 Cr 1.78

---

From most stable to least stable, the computed energies give #one, #three, #two.